CuPtF6: relaxed, meta-GGA r2SCAN.

## Properties
- Space-group type: P-1, No. 2
- Theoretical density: 6.4 Mg/m³
- E_form: -1614 meV/atom

Cell and atoms, written as extended XYZ:
```
16
Lattice="4.750 0.007 1.223 2.188 4.208 1.188 -0.005 0.042 9.639" Properties=species:S:1:pos:R:3 pbc="T T T"
Cu 3.467 2.129 6.025
Cu 0.000 0.000 0.000
F 3.301 3.169 9.741
F 3.632 1.089 2.309
F 5.643 1.785 10.119
F 2.465 0.669 6.744
F 3.496 3.987 2.694
F 4.694 2.123 7.559
F 2.204 3.424 7.132
F 4.729 0.834 4.918
F 1.290 2.473 1.930
F 4.468 3.589 5.306
F 2.239 2.134 4.491
F 3.437 0.271 9.356
Pt 1.782 0.937 3.005
Pt 5.152 3.321 9.045
```